Record 1
Computed, not measured: CaCr4O9 after structural relaxation at the PBE with a Hubbard U level of DFT.

Geometry as CIF:
```
data_CaCr4O9
_space_group_name_H-M_alt 'P 1'
_space_group_IT_number 1
_cell_length_a 8.457
_cell_length_b 8.457
_cell_length_c 5.186
_cell_angle_alpha 90.00
_cell_angle_beta 90.00
_cell_angle_gamma 90.00
loop_
_space_group_symop_operation_xyz
'x,y,z'
loop_
_atom_site_label
_atom_site_fract_x
_atom_site_fract_y
_atom_site_fract_z
_atom_site_occupancy
Ca1 0.250 0.250 0.139 1
Ca2 0.750 0.750 0.861 1
Cr1 0.038 0.659 0.390 1
Cr2 0.159 0.962 0.610 1
Cr3 0.341 0.538 0.610 1
Cr4 0.462 0.841 0.390 1
Cr5 0.538 0.159 0.610 1
Cr6 0.659 0.462 0.390 1
Cr7 0.841 0.038 0.390 1
Cr8 0.962 0.341 0.610 1
O1 0.013 0.321 0.922 1
O2 0.039 0.146 0.464 1
O3 0.146 0.461 0.464 1
O4 0.179 0.013 0.922 1
O5 0.250 0.750 0.500 1
O6 0.321 0.487 0.922 1
O7 0.354 0.039 0.464 1
O8 0.461 0.354 0.464 1
O9 0.487 0.179 0.922 1
O10 0.513 0.821 0.078 1
O11 0.539 0.646 0.536 1
O12 0.646 0.961 0.536 1
O13 0.679 0.513 0.078 1
O14 0.750 0.250 0.500 1
O15 0.821 0.987 0.078 1
O16 0.854 0.539 0.536 1
O17 0.961 0.854 0.536 1
O18 0.987 0.679 0.078 1
```

Calculated values
Calculated total energy ... -7.145 eV per atom
Total moment ... 16.00 Bohr magnetons per cell
Space group ... P4/n, No. 85
Calculated density ... 3.510 g/cm3
Energy with MP2020 corrections ... -8.16 eV per atom

***

Record 2
Computed, not measured: Ca2CrO5 after structural relaxation at the PBE with a Hubbard U level of DFT.

Geometry as CIF:
```
data_Ca2CrO5
_space_group_name_H-M_alt 'P 1'
_space_group_IT_number 1
_cell_length_a 8.622
_cell_length_b 8.622
_cell_length_c 8.622
_cell_angle_alpha 52.63
_cell_angle_beta 144.42
_cell_angle_gamma 142.54
loop_
_space_group_symop_operation_xyz
'x,y,z'
loop_
_atom_site_label
_atom_site_fract_x
_atom_site_fract_y
_atom_site_fract_z
_atom_site_occupancy
Ca1 0.052 0.143 0.195 1
Ca2 0.052 0.357 0.410 1
Ca3 0.948 0.643 0.590 1
Ca4 0.948 0.857 0.805 1
Cr1 0.499 0.499 0.000 1
Cr2 0.499 0.999 0.500 1
O1 0.029 0.009 0.520 1
O2 0.082 0.253 0.746 1
O3 0.082 0.835 0.328 1
O4 0.467 0.692 0.974 1
O5 0.467 0.993 0.275 1
O6 0.488 0.509 0.480 1
O7 0.507 0.335 0.254 1
O8 0.507 0.753 0.672 1
O9 0.718 0.192 0.725 1
O10 0.718 0.493 0.026 1
```

Calculated values
Calculated total energy ... -6.467 eV per atom
Total moment ... 0.89 Bohr magnetons per cell
Space group ... Ima2, No. 46
Calculated density ... 3.124 g/cm3
Energy with MP2020 corrections ... -7.15 eV per atom

***

Record 3
Computed, not measured: CaCrO2 after structural relaxation at the PBE with a Hubbard U level of DFT.

Geometry as CIF:
```
data_CaCrO2
_space_group_name_H-M_alt 'P 1'
_space_group_IT_number 1
_cell_length_a 9.254
_cell_length_b 9.254
_cell_length_c 9.524
_cell_angle_alpha 113.68
_cell_angle_beta 113.68
_cell_angle_gamma 19.28
loop_
_space_group_symop_operation_xyz
'x,y,z'
loop_
_atom_site_label
_atom_site_fract_x
_atom_site_fract_y
_atom_site_fract_z
_atom_site_occupancy
Ca1 0.014 0.014 0.301 1
Ca2 0.328 0.328 0.292 1
Ca3 0.672 0.672 0.708 1
Ca4 0.986 0.986 0.699 1
Cr1 0.188 0.188 0.362 1
Cr2 0.354 0.354 0.997 1
Cr3 0.646 0.646 0.003 1
Cr4 0.812 0.812 0.638 1
O1 0.124 0.124 0.837 1
O2 0.184 0.184 0.150 1
O3 0.228 0.228 0.595 1
O4 0.390 0.390 0.662 1
O5 0.610 0.610 0.338 1
O6 0.772 0.772 0.405 1
O7 0.816 0.816 0.850 1
O8 0.876 0.876 0.163 1
```

Calculated values
Calculated total energy ... -6.905 eV per atom
Total moment ... 13.52 Bohr magnetons per cell
E above lowest polymorph ... 0.99 eV/f.u.
Space group ... C2/m, No. 12
Calculated density ... 3.351 g/cm3
Energy with MP2020 corrections ... -7.75 eV per atom

***

Record 4
Computed, not measured: CaCrO2 after structural relaxation at the PBE with a Hubbard U level of DFT.

Geometry as CIF:
```
data_CaCrO2
_space_group_name_H-M_alt 'P 1'
_space_group_IT_number 1
_cell_length_a 3.109
_cell_length_b 8.965
_cell_length_c 9.335
_cell_angle_alpha 85.60
_cell_angle_beta 80.52
_cell_angle_gamma 80.38
loop_
_space_group_symop_operation_xyz
'x,y,z'
loop_
_atom_site_label
_atom_site_fract_x
_atom_site_fract_y
_atom_site_fract_z
_atom_site_occupancy
Ca1 0.089 0.127 0.191 1
Ca2 0.340 0.239 0.569 1
Ca3 0.660 0.761 0.431 1
Ca4 0.911 0.873 0.809 1
Cr1 0.212 0.194 0.877 1
Cr2 0.375 0.445 0.300 1
Cr3 0.625 0.555 0.700 1
Cr4 0.788 0.806 0.123 1
O1 0.089 0.710 0.623 1
O2 0.175 0.415 0.735 1
O3 0.180 0.879 0.273 1
O4 0.361 0.809 0.972 1
O5 0.639 0.191 0.028 1
O6 0.820 0.121 0.727 1
O7 0.825 0.585 0.265 1
O8 0.911 0.290 0.377 1
```

Calculated values
Calculated total energy ... -6.923 eV per atom
Total moment ... 16.00 Bohr magnetons per cell
E above lowest polymorph ... 0.91 eV/f.u.
Space group ... P-1, No. 2
Calculated density ... 3.261 g/cm3
Energy with MP2020 corrections ... -7.77 eV per atom

***

Record 5
Computed, not measured: CaCr2O5 after structural relaxation at the PBE with a Hubbard U level of DFT.

Geometry as CIF:
```
data_CaCr2O5
_space_group_name_H-M_alt 'P 1'
_space_group_IT_number 1
_cell_length_a 3.626
_cell_length_b 11.437
_cell_length_c 4.992
_cell_angle_alpha 90.00
_cell_angle_beta 90.00
_cell_angle_gamma 90.00
loop_
_space_group_symop_operation_xyz
'x,y,z'
loop_
_atom_site_label
_atom_site_fract_x
_atom_site_fract_y
_atom_site_fract_z
_atom_site_occupancy
Ca1 0.250 0.250 0.134 1
Ca2 0.750 0.750 0.866 1
Cr1 0.250 0.596 0.405 1
Cr2 0.250 0.904 0.405 1
Cr3 0.750 0.096 0.595 1
Cr4 0.750 0.404 0.595 1
O1 0.250 0.075 0.465 1
O2 0.250 0.425 0.465 1
O3 0.250 0.629 0.069 1
O4 0.250 0.750 0.554 1
O5 0.250 0.871 0.069 1
O6 0.750 0.129 0.931 1
O7 0.750 0.250 0.446 1
O8 0.750 0.371 0.931 1
O9 0.750 0.575 0.535 1
O10 0.750 0.925 0.535 1
```

Calculated values
Calculated total energy ... -7.145 eV per atom
Total moment ... 8.00 Bohr magnetons per cell
E above lowest polymorph ... 0.00 eV/f.u.
Space group ... Pmmn, No. 59
Calculated density ... 3.595 g/cm3
Energy with MP2020 corrections ... -8.07 eV per atom

***

Record 6
Computed, not measured: CaCr2O4 after structural relaxation at the PBE with a Hubbard U level of DFT.

Geometry as CIF:
```
data_CaCr2O4
_space_group_name_H-M_alt 'P 1'
_space_group_IT_number 1
_cell_length_a 6.331
_cell_length_b 6.331
_cell_length_c 20.737
_cell_angle_alpha 100.74
_cell_angle_beta 100.74
_cell_angle_gamma 58.32
loop_
_space_group_symop_operation_xyz
'x,y,z'
loop_
_atom_site_label
_atom_site_fract_x
_atom_site_fract_y
_atom_site_fract_z
_atom_site_occupancy
Ca1 0.000 0.000 0.000 1
Ca2 0.029 0.029 0.597 1
Ca3 0.124 0.124 0.874 1
Ca4 0.253 0.253 0.751 1
Ca5 0.278 0.278 0.341 1
Ca6 0.500 0.500 0.500 1
Ca7 0.748 0.748 0.250 1
Ca8 0.877 0.877 0.127 1
Cr1 0.000 0.500 0.000 1
Cr2 0.006 0.497 0.500 1
Cr3 0.224 0.224 0.157 1
Cr4 0.254 0.745 0.750 1
Cr5 0.259 0.745 0.251 1
Cr6 0.374 0.374 0.622 1
Cr7 0.475 0.475 0.909 1
Cr8 0.497 0.006 0.500 1
Cr9 0.500 0.000 0.000 1
Cr10 0.525 0.525 0.091 1
Cr11 0.625 0.625 0.374 1
Cr12 0.738 0.738 0.654 1
Cr13 0.745 0.254 0.750 1
Cr14 0.745 0.259 0.251 1
Cr15 0.775 0.775 0.843 1
Cr16 0.985 0.985 0.403 1
O1 0.051 0.051 0.705 1
O2 0.070 0.070 0.200 1
O3 0.086 0.570 0.684 1
O4 0.087 0.562 0.194 1
O5 0.182 0.666 0.059 1
O6 0.187 0.638 0.562 1
O7 0.204 0.204 0.059 1
O8 0.206 0.206 0.557 1
O9 0.298 0.298 0.449 1
O10 0.313 0.313 0.946 1
O11 0.330 0.822 0.435 1
O12 0.334 0.818 0.942 1
O13 0.438 0.911 0.807 1
O14 0.442 0.883 0.313 1
O15 0.453 0.453 0.810 1
O16 0.461 0.461 0.307 1
O17 0.543 0.543 0.690 1
O18 0.546 0.546 0.189 1
O19 0.562 0.087 0.194 1
O20 0.570 0.086 0.684 1
O21 0.638 0.187 0.562 1
O22 0.666 0.182 0.059 1
O23 0.688 0.688 0.054 1
O24 0.701 0.701 0.560 1
O25 0.796 0.796 0.942 1
O26 0.797 0.797 0.441 1
O27 0.818 0.334 0.942 1
O28 0.822 0.330 0.435 1
O29 0.883 0.442 0.313 1
O30 0.911 0.438 0.807 1
O31 0.929 0.929 0.803 1
O32 0.953 0.953 0.308 1
```

Calculated values
Calculated total energy ... -7.387 eV per atom
Total moment ... 48.00 Bohr magnetons per cell
E above lowest polymorph ... 1.56 eV/f.u.
Space group ... Cm, No. 8
Calculated density ... 4.000 g/cm3
Energy with MP2020 corrections ... -8.35 eV per atom